This record from Materials Project describes an optimized crystal structure of Ti6In2Si2P12O49. The functional is GGA-PBE.

Lattice parameters (Å, degrees): 15.869 15.869 15.869 31.40 31.40 31.40
Element x y z (fractional)
1 O 0.936 0.565 0.706
2 O 0.916 0.349 0.192
3 O 0.349 0.192 0.916
4 O 0.766 0.138 0.956
5 O 0.521 0.160 0.422
6 O 0.092 0.719 0.901
7 O 0.832 0.475 0.739
8 O 0.827 0.600 0.944
9 O 0.044 0.234 0.862
10 O 0.619 0.464 0.269
11 O 0.056 0.173 0.400
12 O 0.901 0.092 0.719
13 O 0.099 0.908 0.281
14 O 0.269 0.619 0.464
15 O 0.261 0.168 0.525
16 O 0.706 0.936 0.565
17 O 0.862 0.044 0.234
18 O 0.565 0.706 0.936
19 O 0.464 0.269 0.619
20 O 0.381 0.536 0.731
21 O 0.192 0.916 0.349
22 O 0.435 0.294 0.064
23 O 0.084 0.651 0.808
24 O 0.294 0.064 0.435
25 O 0.281 0.099 0.908
26 O 0.908 0.281 0.099
27 O 0.234 0.862 0.044
28 O 0.578 0.479 0.840
29 O 0.536 0.731 0.381
30 O 0.173 0.400 0.056
31 O 0.944 0.827 0.600
32 O 0.719 0.901 0.092
33 O 0.525 0.261 0.168
34 O 0.739 0.832 0.475
35 O 0.400 0.056 0.173
36 O 0.138 0.956 0.766
37 O 0.600 0.944 0.827
38 O 0.956 0.766 0.138
39 O 0.168 0.525 0.261
40 O 0.840 0.578 0.479
41 O 0.731 0.381 0.536
42 O 0.475 0.739 0.832
43 O 0.160 0.422 0.521
44 O 0.808 0.084 0.651
45 O 0.500 0.500 0.500
46 O 0.651 0.808 0.084
47 O 0.064 0.435 0.294
48 O 0.479 0.840 0.578
49 O 0.422 0.521 0.160
50 Ti 0.244 0.244 0.244
51 Ti 0.069 0.069 0.069
52 Ti 0.931 0.931 0.931
53 Ti 0.656 0.656 0.656
54 Ti 0.756 0.756 0.756
55 Ti 0.344 0.344 0.344
56 P 0.993 0.422 0.706
57 P 0.416 0.124 0.828
58 P 0.706 0.993 0.422
59 P 0.422 0.706 0.993
60 P 0.584 0.876 0.172
61 P 0.294 0.007 0.578
62 P 0.172 0.584 0.876
63 P 0.578 0.294 0.007
64 P 0.876 0.172 0.584
65 P 0.124 0.828 0.416
66 P 0.007 0.578 0.294
67 P 0.828 0.416 0.124
68 Si 0.536 0.536 0.536
69 Si 0.464 0.464 0.464
70 In 0.827 0.827 0.827
71 In 0.173 0.173 0.173

Calculated values
* calculated formation energy: -2.940 eV/atom
* total energy: -546.228 eV per formula unit
* calculated volume: 13.56 Å³/atom